No. 1
VASP calculation (GGA-PBE) on a geometry-optimized SrLiLaTi3O9 structure.

Structure (CIF):
```
data_SrLiLaTi3O9
_chemical_formula_sum 'Sr1 Li1 La1 Ti3 O9'
_symmetry_space_group_name_H-M 'P 3 m 1'
_symmetry_Int_Tables_number 156
_cell_length_a 5.5299
_cell_length_b 5.5299
_cell_length_c 6.7882
_cell_angle_alpha 90.00
_cell_angle_beta 90.00
_cell_angle_gamma 120.00
loop_
_symmetry_equiv_pos_as_xyz
'x,y,z'
'-y,x-y,z'
'-x+y,-x,z'
'-y,-x,z'
'-x+y,y,z'
'x,x-y,z'
loop_
_atom_site_label
_atom_site_type_symbol
_atom_site_fract_x
_atom_site_fract_y
_atom_site_fract_z
Sr1 Sr 0.0000 0.0000 0.0000
Li1 Li 0.3333 0.6667 0.6692
La1 La 0.6667 0.3333 0.3417
Ti1 Ti 0.0000 0.0000 0.5102
Ti2 Ti 0.3333 0.6667 0.1671
Ti3 Ti 0.6667 0.3333 0.8336
O1 O 0.1652 0.3303 0.3346
O2 O 0.3388 0.1694 0.6651
O3 O 0.5041 0.0081 0.0121
```

***

No. 2
# GGA-PBE FeSiW, optimized geometry
data_FeSiW
_chemical_formula_sum 'Fe8 Si8 W8'
_symmetry_space_group_name_H-M 'A m m 2'
_symmetry_Int_Tables_number 38
_cell_length_a 7.648
_cell_length_b 4.923
_cell_length_c 8.075
_cell_angle_alpha 90.00
_cell_angle_beta 90.00
_cell_angle_gamma 90.00
loop_
_symmetry_equiv_pos_as_xyz
'x,y,z'
'-x,-y,z'
'-x,y,z'
'x,-y,z'
'x,y+1/2,z+1/2'
'-x,-y+1/2,z+1/2'
'-x,y+1/2,z+1/2'
'x,-y+1/2,z+1/2'
loop_
_atom_site_label
_atom_site_type_symbol
_atom_site_fract_x
_atom_site_fract_y
_atom_site_fract_z
Fe1 Fe 0.000 0.000 0.000
Fe2 Fe 0.000 0.240 0.241
Fe3 Fe 0.500 0.000 0.681
Si1 Si 0.237 0.000 0.818
Si2 Si 0.500 0.240 0.425
W1 W 0.182 0.000 0.492
W2 W 0.310 0.000 0.160
# Offset from the most stable computed form (eV per atom): 0.0467

***

No. 3
VASP calculation (GGA-PBE) on a geometry-optimized K2P3H7O9 structure.

Structure (CIF):
```
data_K2P3H7O9
_chemical_formula_sum 'K4 P6 H14 O18'
_symmetry_space_group_name_H-M 'P -1'
_symmetry_Int_Tables_number 2
_cell_length_a 7.653
_cell_length_b 8.757
_cell_length_c 9.167
_cell_angle_alpha 79.12
_cell_angle_beta 67.00
_cell_angle_gamma 88.49
loop_
_symmetry_equiv_pos_as_xyz
'x,y,z'
'-x,-y,-z'
loop_
_atom_site_label
_atom_site_type_symbol
_atom_site_fract_x
_atom_site_fract_y
_atom_site_fract_z
K1 K 0.091 0.076 0.150
K2 K 0.184 0.596 0.097
P1 P 0.031 0.720 0.518
P2 P 0.355 0.365 0.758
P3 P 0.440 0.897 0.776
H1 H 0.158 0.599 0.503
H2 H 0.198 0.259 0.635
H3 H 0.247 0.916 0.427
H4 H 0.353 0.292 0.252
H5 H 0.427 0.912 0.625
H6 H 0.429 0.514 0.669
H7 H 0.453 0.823 0.211
O1 O 0.006 0.243 0.637
O2 O 0.137 0.325 0.322
O3 O 0.145 0.863 0.533
O4 O 0.177 0.375 0.904
O5 O 0.246 0.907 0.906
O6 O 0.333 0.269 0.637
O7 O 0.402 0.985 0.245
O8 O 0.474 0.707 0.201
O9 O 0.494 0.275 0.189
```

***

No. 4
VASP calculation (GGA-PBE) on a geometry-optimized InP3 structure.

Structure (CIF):
```
data_InP3
_chemical_formula_sum 'In6 P18'
_symmetry_space_group_name_H-M 'R -3 m'
_symmetry_Int_Tables_number 166
_symmetry_space_group_name_Hall '-R 3 2"'
_cell_length_a 7.5223
_cell_length_b 7.5223
_cell_length_c 10.1612
_cell_angle_alpha 90.00
_cell_angle_beta 90.00
_cell_angle_gamma 120.00
loop_
_atom_site_label
_atom_site_type_symbol
_atom_site_fract_x
_atom_site_fract_y
_atom_site_fract_z
In1 In 0.0000 0.0000 0.2256
P1 P 0.0370 0.5185 0.2204
```

***

No. 5
VASP calculation (GGA-PBE) on a geometry-optimized La12Fe2I17 structure.

Structure (CIF):
```
data_La12Fe2I17
_chemical_formula_sum 'La12 Fe2 I17'
_symmetry_space_group_name_H-M 'P -1'
_symmetry_Int_Tables_number 2
_cell_length_a 9.945
_cell_length_b 11.996
_cell_length_c 12.202
_cell_angle_alpha 74.00
_cell_angle_beta 75.16
_cell_angle_gamma 67.08
loop_
_symmetry_equiv_pos_as_xyz
'x,y,z'
'-x,-y,-z'
loop_
_atom_site_label
_atom_site_type_symbol
_atom_site_fract_x
_atom_site_fract_y
_atom_site_fract_z
La1 La 0.047 0.021 0.171
La2 La 0.061 0.168 0.501
La3 La 0.078 0.261 0.770
La4 La 0.209 0.500 0.412
La5 La 0.329 0.685 0.077
La6 La 0.342 0.784 0.347
Fe1 Fe 0.134 0.766 0.285
I1 I 0.041 0.558 0.675
I2 I 0.069 0.676 0.969
I3 I 0.196 0.862 0.608
I4 I 0.248 0.974 0.913
I5 I 0.288 0.082 0.252
I6 I 0.354 0.196 0.549
I7 I 0.388 0.286 0.868
I8 I 0.444 0.393 0.182
I9 I 0.500 0.500 0.500
```

***

No. 6
VASP calculation (GGA-PBE) on a geometry-optimized BW2 structure.

Structure (CIF):
```
data_BW2
_chemical_formula_sum 'B4 W8'
_symmetry_space_group_name_H-M 'I 4/m c m'
_symmetry_Int_Tables_number 140
_symmetry_space_group_name_Hall '-I 4 2c'
_cell_length_a 5.592
_cell_length_b 5.592
_cell_length_c 4.797
_cell_angle_alpha 90.00
_cell_angle_beta 90.00
_cell_angle_gamma 90.00
loop_
_atom_site_label
_atom_site_type_symbol
_atom_site_fract_x
_atom_site_fract_y
_atom_site_fract_z
B1 B 0.000 0.000 0.250
W1 W 0.170 0.330 0.000
```

***

No. 7
VASP calculation (GGA-PBE) on a geometry-optimized Ce3PrO8 structure.

Structure (CIF):
```
data_Ce3PrO8
_chemical_formula_sum 'Ce6 Pr2 O16'
_symmetry_space_group_name_H-M 'I 4/m m m'
_symmetry_Int_Tables_number 139
_symmetry_space_group_name_Hall '-I 4 2'
_cell_length_a 5.520
_cell_length_b 5.520
_cell_length_c 11.056
_cell_angle_alpha 90.00
_cell_angle_beta 90.00
_cell_angle_gamma 90.00
loop_
_atom_site_label
_atom_site_type_symbol
_atom_site_fract_x
_atom_site_fract_y
_atom_site_fract_z
Ce1 Ce 0.000 0.000 0.000
Ce2 Ce 0.000 0.500 0.250
Pr1 Pr 0.000 0.000 0.500
O1 O 0.244 0.244 0.128
```

***

Number 1: E_tot -8.151 eV/atom. Number 2: E_tot -9.209 eV/atom. Number 3: E_tot -5.675 eV/atom. Number 4: E_tot -4.798 eV/atom. Number 5: E_tot -4.506 eV/atom. Number 6: E_tot -11.127 eV/atom. Number 7: E_tot -8.414 eV/atom.